No. 1
Entry from Materials Project: a geometry-optimized MoO3 structure (GGA+U).

Geometry as POSCAR:
```
MoO3
1.0
1.9088 -7.3918 0.0000
1.9088 7.3918 0.0000
0.0000 0.0000 3.7945
Mo O
2 6
Cartesian
1.9088 5.8473 2.8459
1.9088 -5.8473 0.9486
1.9088 6.3680 0.9486
1.9088 4.1476 2.8459
1.9088 1.2865 0.9486
1.9088 -1.2865 2.8459
1.9088 -4.1476 0.9486
1.9088 -6.3680 2.8459
```

The space group is Cmcm.

No. 2
Entry from Materials Project: a geometry-optimized LiMnP4O12 structure (GGA+U).

Geometry as POSCAR:
```
LiMnP4O12
1.0
7.7315 -3.9814 0.0000
7.7315 3.9814 0.0000
-4.8097 0.0000 7.8045
Li Mn P O
2 2 8 24
Cartesian
0.0000 0.0000 0.0000
-2.4049 0.0000 3.9022
4.1242 1.4022 5.8533
6.5291 -1.4022 1.9511
1.1397 2.4022 6.9935
3.8892 0.4982 2.8250
7.1087 2.4022 4.7132
1.4844 -0.4982 6.7272
9.1690 0.4982 1.0772
3.5446 -2.4022 3.0912
6.7641 -0.4982 4.9795
9.5136 -2.4022 0.8110
6.0379 3.0927 0.4962
2.3878 2.5560 6.1321
3.0888 1.0502 1.5824
7.0203 3.0927 3.4060
3.7184 1.5170 3.9511
0.7072 0.8431 7.1329
5.8606 2.5560 5.5746
0.6839 -1.0502 5.4846
5.2785 0.2079 2.3743
4.5300 1.5170 7.7556
3.1121 -0.8431 3.2306
2.8736 -0.2079 6.2765
7.7797 0.2079 1.5280
7.5412 0.8431 4.5738
6.1233 -1.5170 0.0489
5.3749 -0.2079 5.4302
9.9694 1.0502 2.3199
4.7927 -2.5560 2.2299
9.9461 -0.8431 0.6716
6.9349 -1.5170 3.8534
3.6330 -3.0927 4.3984
7.5645 -1.0502 6.2221
8.2655 -2.5560 1.6723
4.6154 -3.0927 7.3083
```

The magnetization comes out at 0.22 μB per atom. The calculation puts the energy above the lowest structure with this stoichiometry at 0.0794 eV/atom. The space group is C2/c.

No. 3
Entry from Materials Project: a geometry-optimized LiMnO2 structure (GGA+U).

Geometry as POSCAR:
```
LiMnO2
1.0
10.0861 0.0000 0.0000
0.0000 2.8732 0.0000
0.0000 0.0000 5.3017
Li Mn O
4 4 8
Cartesian
1.0657 0.7183 0.5434
3.9773 2.1549 3.1942
6.1088 0.7183 2.1074
9.0204 2.1549 4.7583
1.3357 2.1549 3.2164
3.7074 0.7183 0.5656
6.3788 2.1549 4.7361
8.7504 0.7183 2.0853
0.2065 0.7183 3.9532
2.3979 0.7183 2.4056
2.6451 2.1549 5.0564
4.8366 2.1549 1.3024
5.2495 0.7183 3.9993
7.4410 0.7183 0.2453
7.6882 2.1549 2.8961
9.8796 2.1549 1.3484
```

The space group is Pnma.

No. 4
Entry from Materials Project: a geometry-optimized Mn7Pb3O15 structure (GGA+U).

Geometry as POSCAR:
```
Mn7Pb3O15
1.0
8.9338 -5.0847 0.0000
8.9338 5.0847 0.0000
0.0000 0.0000 13.8332
Mn Pb O
28 12 60
Cartesian
0.0000 0.0000 0.0000
0.0000 0.0000 6.9166
4.4669 2.5424 0.0000
4.4669 2.5424 6.9166
2.9726 0.0299 2.0291
2.9726 0.0299 4.8875
7.4530 2.5622 13.8319
7.4530 2.5622 6.9179
2.9726 -0.0299 8.9457
2.9726 -0.0299 11.8041
10.4146 2.5622 13.8319
10.4146 2.5622 6.9179
5.9641 0.0000 0.0000
5.9641 0.0000 6.9166
4.4669 -2.5424 0.0000
4.4669 -2.5424 6.9166
8.9338 0.0000 0.0000
8.9338 0.0000 6.9166
11.9034 0.0000 0.0000
11.9034 0.0000 6.9166
7.4530 -2.5622 0.0013
7.4530 -2.5622 6.9153
14.8950 0.0299 2.0291
14.8950 0.0299 4.8875
10.4146 -2.5622 0.0013
10.4146 -2.5622 6.9153
14.8950 -0.0299 8.9457
14.8950 -0.0299 11.8041
8.9338 4.0176 3.4583
5.4504 1.9552 10.3749
6.5352 1.3980 3.4583
8.9338 2.6780 10.3749
5.4504 -1.9552 3.4583
11.3324 1.3980 3.4583
6.5352 -1.3980 10.3749
12.4172 1.9552 10.3749
8.9338 -2.6780 3.4583
11.3324 -1.3980 10.3749
12.4172 -1.9552 3.4583
8.9338 -4.0176 10.3749
6.0200 3.3117 7.9929
6.0200 3.3117 12.7569
7.5484 4.1623 1.0681
7.5484 4.1623 5.8485
1.5187 0.7089 3.4583
3.1223 1.4686 10.3749
4.3088 0.9767 3.4583
1.5187 -0.7089 10.3749
10.3191 4.1623 1.0681
10.3191 4.1623 5.8485
4.6097 0.8888 7.9821
4.6097 0.8888 12.7676
6.0451 1.6763 1.0254
6.0451 1.6763 5.8912
8.9338 3.3283 7.9470
8.9338 3.3283 12.8028
3.1223 -1.4686 3.4583
8.9338 1.6695 0.9893
8.9338 1.6695 5.9273
4.3088 -0.9767 10.3749
7.4741 0.8315 7.9080
7.4741 0.8315 12.8418
11.8475 3.3117 7.9929
11.8475 3.3117 12.7569
4.6097 -0.8888 1.0656
4.6097 -0.8888 5.8510
11.8225 1.6763 1.0254
11.8225 1.6763 5.8912
7.4741 -0.8315 0.9914
7.4741 -0.8315 5.9252
10.3934 0.8315 7.9080
10.3934 0.8315 12.8418
6.0451 -1.6763 7.9420
6.0451 -1.6763 12.8078
13.2578 0.8888 7.9821
13.2578 0.8888 12.7676
6.0200 -3.3117 1.0763
6.0200 -3.3117 5.8403
10.3934 -0.8315 0.9914
10.3934 -0.8315 5.9252
13.5587 0.9767 3.4583
8.9338 -1.6695 7.9059
8.9338 -1.6695 12.8439
14.7453 1.4686 10.3749
8.9338 -3.3283 1.0304
8.9338 -3.3283 5.8862
11.8225 -1.6763 7.9420
11.8225 -1.6763 12.8078
13.2578 -0.8888 1.0656
13.2578 -0.8888 5.8510
7.5484 -4.1623 7.9847
7.5484 -4.1623 12.7651
16.3489 0.7089 3.4583
13.5587 -0.9767 10.3749
14.7453 -1.4686 3.4583
16.3489 -0.7089 10.3749
10.3191 -4.1623 7.9847
10.3191 -4.1623 12.7651
11.8475 -3.3117 1.0763
11.8475 -3.3117 5.8403
```

The magnetization comes out at 1.00 μB per atom. The calculation puts the energy above the lowest structure with this stoichiometry at 0.0116 eV/atom. The space group is Cmcm.

No. 5
Entry from Materials Project: a geometry-optimized Li2Fe3CoO8 structure (GGA+U).

Geometry as POSCAR:
```
Li2Fe3CoO8
1.0
2.9773 1.7189 4.7426
-2.9773 1.7189 4.7426
0.0000 -3.4378 4.7426
Li Fe Co O
2 3 1 8
Cartesian
0.0000 0.0000 1.7812
0.0000 0.0000 12.4466
-1.4886 -0.8595 4.7426
-1.4886 0.8595 9.4852
0.0000 1.7189 4.7426
0.0000 0.0000 7.1139
0.0000 0.0000 3.7293
0.0000 -1.5120 5.9376
-1.3095 0.7560 5.9376
-1.3095 -0.7560 8.2902
1.3095 0.7560 5.9376
1.3095 -0.7560 8.2902
0.0000 1.5120 8.2902
0.0000 0.0000 10.4984
```

The magnetization comes out at 1.07 μB per atom. The calculation puts the energy above the lowest structure with this stoichiometry at 0.0062 eV/atom. The space group is R-3m.

No. 6
Entry from Materials Project: a geometry-optimized Ca8TiMn7O23 structure (GGA+U).

Geometry as POSCAR:
```
Ca8TiMn7O23
1.0
10.7528 0.0000 0.0000
-0.0470 10.8932 0.0000
-0.0094 -0.0186 15.3194
Ca Ti Mn O
32 4 28 92
Cartesian
0.0000 0.0000 0.0000
10.7449 0.0915 7.7674
-0.0204 5.1661 11.4694
-0.0074 5.2282 4.0726
0.0023 10.3986 4.0740
0.0504 10.4612 11.5378
2.6573 7.8177 4.0732
2.6834 2.3343 11.5149
2.6643 7.8257 11.4549
2.7255 8.2794 15.3021
2.7774 2.3680 4.1557
2.7706 8.2612 7.7564
2.7989 2.8384 7.7804
2.8889 2.4943 0.0153
5.4045 0.0751 7.7662
5.3920 5.5827 7.7574
5.4600 5.5981 0.1622
5.4975 0.0557 15.3107
5.4669 10.4885 4.0055
5.5038 5.0742 4.0746
5.4700 10.4440 11.5514
5.5668 5.0941 11.4293
7.8933 2.3105 3.9869
7.9098 2.7968 15.3080
8.0471 2.3343 11.5153
8.0383 7.7761 11.5337
8.0676 7.7870 4.0070
8.1276 8.2651 7.7700
8.1691 2.8085 7.7449
8.1595 8.3083 0.0759
10.5012 5.6978 0.0558
10.7186 5.5421 7.7512
-0.0084 2.5869 13.4318
2.7026 10.7078 13.4026
2.9072 10.6022 2.0259
10.4086 2.6693 1.9383
-0.0202 8.0133 13.4733
0.0099 8.0408 2.0153
0.0302 8.0150 5.8895
0.0246 8.0243 9.6539
0.0650 2.5816 9.6386
0.0872 2.5778 5.8678
2.6369 5.3755 13.3012
2.6916 10.7500 5.8807
2.6997 10.7534 9.6309
2.7386 5.2974 5.8999
2.7384 5.2939 9.6386
2.8363 5.5140 2.1075
5.3466 2.6047 2.0247
5.4255 2.5872 5.8901
5.4194 2.5796 9.6555
5.3952 8.0300 9.6580
5.4011 8.0382 5.8479
5.4143 7.9779 13.5109
5.4704 2.4857 13.3992
5.4641 8.0210 2.0143
8.0216 5.3650 2.0201
8.0125 10.7021 2.0295
8.0655 5.3134 13.4833
8.1014 5.3043 5.8636
8.0783 10.7543 9.6660
8.0755 10.7610 5.8531
8.1085 5.2994 9.6354
8.0893 10.6899 13.4642
0.1855 2.6392 3.6741
0.4280 7.9760 0.0938
0.4652 2.4645 7.7952
0.4478 7.9197 7.7696
0.7172 2.4042 0.4940
1.0315 6.4035 13.2903
1.1123 6.2816 2.1561
1.1781 0.9724 5.5585
1.1771 1.0067 10.0073
1.2067 1.0144 13.2660
1.1929 6.4684 5.5618
1.1961 6.4675 10.0103
1.5720 9.1911 9.9758
1.5787 9.1276 13.2160
1.5786 9.1791 5.5530
1.5825 9.2178 2.3396
1.6068 3.7487 10.0245
1.6355 3.7436 5.6054
1.7973 3.6991 13.4703
2.2792 5.2029 7.7916
2.2564 10.6248 7.7619
2.3326 10.7493 0.1764
3.0045 10.8706 3.9459
3.0987 5.2899 3.9685
3.0760 10.7959 11.5487
3.2493 5.3817 11.5374
3.6862 1.4996 1.9012
3.8271 1.4646 6.1534
3.8285 1.4541 9.3714
3.8210 7.0091 1.5897
3.8291 6.9018 6.1371
3.8295 6.8953 9.3429
3.8440 6.6623 13.9576
3.9085 1.3760 13.6575
3.9358 4.2147 1.4052
4.2457 9.5172 13.8205
4.2660 9.6222 9.3635
4.2740 9.6409 6.1232
4.3128 4.1723 6.1932
4.3102 4.1691 9.3085
4.3915 9.6380 1.7002
4.9665 2.7746 11.5793
4.9665 8.1213 3.9107
4.9722 8.0789 11.5951
5.0389 2.7451 3.9513
5.5964 2.5705 0.0232
5.8042 7.9700 7.7488
5.8553 2.4328 7.7736
5.8738 7.9345 0.1076
6.4136 6.3759 2.3107
6.4522 6.3562 13.2087
6.4936 0.9329 2.2626
6.5404 1.0162 5.5343
6.5351 1.0084 10.0168
6.5354 6.4746 5.5676
6.5483 6.4739 9.9117
6.6290 0.9020 13.2117
6.9410 3.7094 2.2583
6.9691 3.7033 13.2026
6.9785 3.7289 5.5623
6.9565 9.1888 5.5163
6.9522 9.1839 9.9977
6.9844 3.7183 9.9670
6.9849 9.1149 13.1543
7.0205 9.1011 2.3756
7.6766 10.6518 7.7559
7.7113 5.1773 7.7504
7.7183 5.2107 0.0872
7.6983 10.6099 0.0992
8.4394 5.4081 3.9263
8.4555 5.3972 11.5758
8.5204 -0.0015 3.9257
8.5707 -0.0140 11.5817
9.1188 1.4452 1.7036
9.1511 6.9081 13.8113
9.1651 6.9438 1.6880
9.2228 1.4611 9.3778
9.2255 1.4797 6.0637
9.2280 6.8768 9.3498
9.2227 6.8865 6.1630
9.3068 1.4317 13.8867
9.6173 4.2805 1.7216
9.6489 9.6108 9.3657
9.6809 4.1442 13.8317
9.6613 9.6206 6.1153
9.7027 4.1794 6.0481
9.6922 4.1761 9.3751
9.6750 9.5968 13.7573
9.7354 9.6729 1.7694
10.3611 8.0817 11.5784
10.4102 8.0168 3.9323
10.4478 2.7158 11.6446
```

The magnetization comes out at 0.59 μB per atom. The calculation puts the energy above the lowest structure with this stoichiometry at 0.0000 eV/atom. The space group is P1.

No. 7
Entry from Materials Project: a geometry-optimized Cu4MoW3O16 structure (GGA+U).

Geometry as POSCAR:
```
Cu4MoW3O16
1.0
4.9714 0.0000 0.0000
-0.0086 7.0911 0.0000
-0.6326 -1.8067 7.9078
Cu Mo W O
4 1 3 16
Cartesian
0.0000 0.0000 0.0000
-0.3115 2.6363 3.9328
2.4316 5.6595 1.1860
2.1234 1.2133 5.1458
-0.6106 1.7458 7.7482
-0.3095 6.1839 3.8267
2.1002 4.7563 5.2665
2.4255 2.1239 1.3250
0.4695 0.8006 4.1072
0.7813 5.2427 0.1595
0.5265 5.6546 5.7405
0.8593 2.9990 1.8062
0.9344 0.8426 7.3046
1.2670 5.2869 3.3577
1.6453 0.4063 1.0289
1.3254 3.0487 4.9911
3.1554 1.9138 2.9812
3.3143 3.9311 0.9500
2.8395 4.5642 6.9211
3.0134 -0.5111 4.9117
4.0802 1.7163 0.2315
3.7615 4.3577 4.1858
3.6156 1.9280 6.1288
3.9275 6.3689 2.1716
```

The magnetization comes out at 0.05 μB per atom. The space group is P1.

Number 1: final energy -6.981 eV per atom. Number 2: final energy -7.062 eV per atom. Number 3: final energy -6.623 eV per atom. Number 4: final energy -6.924 eV per atom. Number 5: final energy -6.071 eV per atom. Number 6: final energy -7.111 eV per atom. Number 7: final energy -6.565 eV per atom.